{"formula": "LiCd2Ag", "functional": "r²SCAN", "state": "relaxed", "m_tot_mub_per_fu": 0.00, "formation_enthalpy_0k_mev_per_atom": -209, "sg": "Fm-3m (225)", "total_energy_ev_per_atom": -16.197, "density_g_cm3": 7.741, "cell": [[6.6299, 0.0000, 0.0000], [0.0000, 6.6299, 0.0000], [0.0000, 0.0000, 6.6299]], "species": ["Li", "Li", "Li", "Li", "Cd", "Cd", "Cd", "Cd", "Cd", "Cd", "Cd", "Cd", "Ag", "Ag", "Ag", "Ag"], "fractional_positions": [[0.0000, 0.0000, 0.0000], [0.0000, 0.5000, 0.5000], [0.5000, 0.0000, 0.5000], [0.5000, 0.5000, 0.0000], [0.2500, 0.2500, 0.2500], [0.2500, 0.2500, 0.7500], [0.2500, 0.7500, 0.2500], [0.2500, 0.7500, 0.7500], [0.7500, 0.2500, 0.2500], [0.7500, 0.2500, 0.7500], [0.7500, 0.7500, 0.2500], [0.7500, 0.7500, 0.7500], [0.0000, 0.0000, 0.5000], [0.0000, 0.5000, 0.0000], [0.5000, 0.0000, 0.0000], [0.5000, 0.5000, 0.5000]]}